No. 1
Entry from the Materials Project database: Cs3Pr5P6S24 after structural relaxation (PBE-GGA).

Results
* VASP energy: -400.27 eV per cell
* energy of formation: -1.4174 eV per atom

a b c (Å): 10.638 10.638 21.511
angles (deg): 100.30 100.30 78.02
Positions (direct):
Cs: 0.124 0.876 0.500
Cs: 0.176 0.669 0.762
Cs: 0.232 0.482 0.078
Cs: 0.482 0.232 0.578
Cs: 0.669 0.176 0.262
Cs: 0.876 0.124 0.000
Pr: 0.165 0.388 0.365
Pr: 0.193 0.969 0.215
Pr: 0.388 0.165 0.865
Pr: 0.505 0.742 0.357
Pr: 0.613 0.743 0.039
Pr: 0.615 0.852 0.722
Pr: 0.742 0.505 0.857
Pr: 0.743 0.613 0.539
Pr: 0.852 0.615 0.222
Pr: 0.969 0.193 0.715
P: 0.032 0.294 0.193
P: 0.063 0.326 0.886
P: 0.294 0.032 0.693
P: 0.326 0.063 0.386
P: 0.439 0.522 0.453
P: 0.501 0.760 0.189
P: 0.522 0.439 0.953
P: 0.597 0.856 0.890
P: 0.760 0.501 0.689
P: 0.835 0.919 0.626
P: 0.856 0.597 0.390
P: 0.919 0.835 0.126
S: 0.010 0.204 0.268
S: 0.071 0.862 0.089
S: 0.115 0.455 0.232
S: 0.153 0.174 0.136
S: 0.153 0.347 0.811
S: 0.174 0.153 0.636
S: 0.183 0.205 0.943
S: 0.204 0.010 0.768
S: 0.205 0.183 0.443
S: 0.242 0.902 0.347
S: 0.286 0.496 0.490
S: 0.347 0.153 0.311
S: 0.358 0.852 0.647
S: 0.359 0.704 0.225
S: 0.384 0.510 0.354
S: 0.399 0.610 0.973
S: 0.418 0.895 0.131
S: 0.455 0.115 0.732
S: 0.463 0.940 0.949
S: 0.472 0.709 0.485
S: 0.496 0.286 0.990
S: 0.505 0.999 0.432
S: 0.510 0.384 0.854
S: 0.522 0.727 0.816
S: 0.596 0.600 0.640
S: 0.600 0.596 0.140
S: 0.610 0.399 0.473
S: 0.630 0.836 0.262
S: 0.649 0.885 0.593
S: 0.653 0.998 0.854
S: 0.704 0.359 0.725
S: 0.709 0.472 0.985
S: 0.727 0.522 0.316
S: 0.748 0.959 0.106
S: 0.758 0.761 0.439
S: 0.761 0.758 0.939
S: 0.836 0.630 0.762
S: 0.848 0.973 0.725
S: 0.852 0.358 0.147
S: 0.862 0.071 0.589
S: 0.885 0.649 0.093
S: 0.895 0.418 0.631
S: 0.902 0.242 0.847
S: 0.940 0.463 0.449
S: 0.959 0.748 0.606
S: 0.973 0.848 0.225
S: 0.998 0.653 0.354
S: 0.999 0.505 0.932

---

No. 2
Entry from the Materials Project database: Ba3BBr3O3 after structural relaxation (PBE-GGA).

Results
* VASP energy: -231.19 eV per cell
* energy of formation: -2.7668 eV per atom

a b c (Å): 9.401 9.446 13.191
angles (deg): 92.57 98.30 116.18
Positions (direct):
Ba: 0.118 0.473 0.249
Ba: 0.140 0.004 0.894
Ba: 0.225 0.951 0.576
Ba: 0.255 0.576 0.979
Ba: 0.327 0.990 0.234
Ba: 0.339 0.512 0.643
Ba: 0.661 0.488 0.357
Ba: 0.673 0.010 0.766
Ba: 0.745 0.424 0.021
Ba: 0.775 0.049 0.424
Ba: 0.860 0.996 0.106
Ba: 0.882 0.527 0.751
B: 0.077 0.758 0.052
B: 0.237 0.741 0.741
B: 0.763 0.259 0.259
B: 0.923 0.242 0.948
Br: 0.000 0.500 0.500
Br: 0.022 0.149 0.657
Br: 0.288 0.287 0.411
Br: 0.363 0.312 0.107
Br: 0.384 0.791 0.426
Br: 0.447 0.264 0.791
Br: 0.500 0.000 0.000
Br: 0.553 0.736 0.209
Br: 0.616 0.209 0.574
Br: 0.637 0.688 0.893
Br: 0.712 0.713 0.589
Br: 0.978 0.851 0.343
O: 0.016 0.678 0.952
O: 0.079 0.903 0.077
O: 0.134 0.811 0.740
O: 0.150 0.696 0.126
O: 0.198 0.595 0.780
O: 0.370 0.806 0.692
O: 0.630 0.194 0.308
O: 0.802 0.405 0.220
O: 0.850 0.304 0.874
O: 0.866 0.189 0.260
O: 0.921 0.097 0.923
O: 0.984 0.322 0.048

---

No. 3
Entry from the Materials Project database: Hf2OsRh after structural relaxation (PBE-GGA).

Results
* VASP energy: -41.66 eV per cell
* energy of formation: -0.7892 eV per atom

a b c (Å): 4.619 4.619 4.619
angles (deg): 60.00 60.00 60.00
Positions (direct):
Hf: 0.250 0.250 0.250
Hf: 0.750 0.750 0.750
Os: 0.000 0.000 0.000
Rh: 0.500 0.500 0.500

---

No. 4
Entry from the Materials Project database: LiCd2Rh after structural relaxation (PBE-GGA).

Results
* VASP energy: -12.19 eV per cell
* energy of formation: -0.2666 eV per atom

a b c (Å): 4.602 4.602 4.602
angles (deg): 60.00 60.00 60.00
Positions (direct):
Li: 0.000 0.000 0.000
Cd: 0.250 0.250 0.250
Cd: 0.750 0.750 0.750
Rh: 0.500 0.500 0.500